1.
Entry from the Materials Project database: a relaxed K3LiSiO4 crystal (PBE-GGA).

Summary:
total DFT energy (no corrections): -5.517 eV/atom

a = 11.4566 Å, b = 9.8644 Å, c = 11.9231 Å
α = 90.00°, β = 121.34°, γ = 90.00°
Closest atoms and distances in Å follow each position.
Space group P2_1/c (No. 14)
Symmetry-distinct sites (fractional):
1 K 0.1455 0.0823 0.1091 [4 per cell]  5 O 2.70-2.96
2 K 0.1645 0.0876 0.5942 [4 per cell]  4 O 2.64-2.87
3 K 0.1839 0.7416 0.5260 [4 per cell]  4 O 2.66-2.74
4 K 0.3144 0.7293 0.8409 [4 per cell]  4 O 2.65-2.71
5 K 0.3460 0.0886 0.4569 [4 per cell]  3 O 2.68-2.81
6 K 0.3510 0.0813 0.9400 [4 per cell]  4 O 2.66-2.86
7 Li 0.0126 0.1365 0.2825 [4 per cell]  4 O 1.99-2.05
8 Li 0.4846 0.1206 0.7647 [4 per cell]  4 O 1.99-2.04
9 Si 0.0223 0.1106 0.7816 [4 per cell]  4 O 1.66-1.68
10 Si 0.4822 0.1267 0.2663 [4 per cell]  4 O 1.66-1.68
11 O 0.0475 0.7019 0.6504 [4 per cell]  1 Si 1.67
12 O 0.0944 0.5424 0.8626 [4 per cell]  1 Si 1.68
13 O 0.1085 0.5220 0.3739 [4 per cell]  1 Si 1.66
14 O 0.1211 0.2195 0.7617 [4 per cell]  1 Si 1.66
15 O 0.3802 0.2290 0.1423 [4 per cell]  1 Si 1.67
16 O 0.3981 0.5580 0.2568 [4 per cell]  1 Si 1.68
17 O 0.4008 0.5068 0.7786 [4 per cell]  1 Si 1.66
18 O 0.4526 0.7258 0.1012 [4 per cell]  1 Si 1.67

2.
Entry from the Materials Project database: a relaxed Rb5Zr4F21 crystal (PBE-GGA).

Summary:
total DFT energy (no corrections): -6.089 eV/atom

a = 8.0255 Å, b = 11.4510 Å, c = 11.7518 Å
α = 90.00°, β = 98.24°, γ = 90.00°
Closest atoms and distances in Å follow each position.
Space group P2_1 (No. 4)
Symmetry-distinct sites (fractional):
1 Rb 0.0241 0.0000 0.2443 [2 per cell]  7 F 2.89-3.15
2 Rb 0.1661 0.3366 0.4048 [2 per cell]  7 F 2.76-3.07
3 Rb 0.1934 0.1502 0.9558 [2 per cell]  7 F 2.82-3.13
4 Rb 0.2822 0.4860 0.1083 [2 per cell]  5 F 2.79-3.03
5 Rb 0.3153 0.0316 0.6144 [2 per cell]  5 F 2.79-2.98
6 Zr 0.1743 0.7048 0.4075 [2 per cell]  6 F 2.00-2.15
7 Zr 0.2161 0.8119 0.9064 [2 per cell]  6 F 2.02-2.18
8 Zr 0.4657 0.3520 0.7763 [2 per cell]  7 F 2.01-2.23
9 Zr 0.4976 0.1702 0.2715 [2 per cell]  7 F 2.03-2.27
10 F 0.0067 0.7159 0.2640 [2 per cell]  1 Zr 2.00
11 F 0.0131 0.6166 0.4901 [2 per cell]  1 Zr 2.00
12 F 0.0523 0.8876 0.0028 [2 per cell]  1 Zr 2.05
13 F 0.0587 0.9062 0.7877 [2 per cell]  1 Zr 2.05
14 F 0.1037 0.8613 0.4664 [2 per cell]  1 Zr 2.03
15 F 0.1133 0.6537 0.9402 [2 per cell]  1 Zr 2.05
16 F 0.2366 0.7308 0.7415 [2 per cell]  2 Zr 2.18-2.27, 1 F 2.40
17 F 0.2604 0.2163 0.1893 [2 per cell]  1 Zr 2.08
18 F 0.2854 0.5650 0.3444 [2 per cell]  1 Zr 2.02
19 F 0.2956 0.3802 0.8830 [2 per cell]  1 Zr 2.01
20 F 0.3284 0.3039 0.6262 [2 per cell]  1 Zr 2.02
21 F 0.3296 0.8168 0.3196 [2 per cell]  2 Zr 2.15-2.16
22 F 0.3448 0.1064 0.3823 [2 per cell]  1 Zr 2.05
23 F 0.3468 0.5145 0.6988 [2 per cell]  2 Zr 2.18-2.23, 1 F 2.40
24 F 0.3469 0.8040 0.0812 [2 per cell]  2 Zr 2.16-2.17
25 F 0.3619 0.6923 0.5478 [2 per cell]  2 Zr 2.07-2.27
26 F 0.3764 0.9463 0.8976 [2 per cell]  1 Zr 2.02
27 F 0.3893 0.0077 0.1762 [2 per cell]  2 Zr 2.16-2.28, 1 F 2.40
28 F 0.4346 0.1782 0.8016 [2 per cell]  1 Zr 2.03
29 F 0.4563 0.7067 0.9014 [2 per cell]  2 Zr 2.16-2.28, 1 F 2.40
30 F 0.4801 0.3423 0.3099 [2 per cell]  1 Zr 2.03

3.
Entry from the Materials Project database: a relaxed Sm2MgBi2O8 crystal (PBE-GGA).

Summary:
total DFT energy (no corrections): -6.556 eV/atom

a = 5.6195 Å, b = 5.8000 Å, c = 6.9929 Å
α = 110.08°, β = 108.56°, γ = 100.88°
Closest atoms and distances in Å follow each position.
Space group P1 (No. 1)
Symmetry-distinct sites (fractional):
1 Sm 0.0000 0.0000 0.0000 [1 per cell]  4 O 2.29-2.32
2 Sm 0.2737 0.7701 0.5439 [1 per cell]  6 O 2.31-2.51
3 Mg 0.2451 0.2388 0.4816 [1 per cell]  6 O 2.04-2.20
4 Bi 0.5379 0.5337 0.0691 [1 per cell]  6 O 2.33-2.59
5 Bi 0.8336 0.3292 0.6604 [1 per cell]  6 O 2.09-2.22
6 O 0.1413 0.1456 0.7308 [1 per cell]  1 Mg 2.20, 1 Bi 2.21
7 O 0.1827 0.6855 0.8693 [1 per cell]  1 Bi 2.20, 1 Sm 2.32
8 O 0.3052 0.4022 0.2564 [1 per cell]  1 Mg 2.18, 1 Sm 2.29, 1 Bi 2.33
9 O 0.4834 0.0258 0.4145 [1 per cell]  1 Mg 2.04, 1 Bi 2.09
10 O 0.5934 0.5831 0.7305 [1 per cell]  1 Mg 2.19, 1 Bi 2.22
11 O 0.6911 0.1869 0.8724 [1 per cell]  1 Bi 2.21, 1 Sm 2.32
12 O 0.9381 0.3817 0.4123 [1 per cell]  1 Mg 2.04, 1 Bi 2.10
13 O 0.9596 0.8489 0.2561 [1 per cell]  1 Mg 2.18, 1 Sm 2.30, 1 Bi 2.33